## AcCeMg2 (GGA-PBE)

Data for a relaxed structure of AcCeMg2.

Calculated values
SG: Fm-3m

a = 5.706 Å, b = 5.706 Å, c = 5.706 Å
α = 60.00°, β = 60.00°, γ = 60.00°
Atoms (fractional coordinates):
Ac  0.500  0.500  0.500
Ce  0.000  0.000  0.000
Mg  0.750  0.750  0.750
Mg  0.250  0.250  0.250

---

## AcCl3 (GGA-PBE)

Data for a relaxed structure of AcCl3.

Calculated values
SG: P6_3/m

a = 4.565 Å, b = 7.754 Å, c = 7.754 Å
α = 120.00°, β = 90.00°, γ = 90.00°
Atoms (fractional coordinates):
Ac  0.250  0.667  0.333
Ac  0.750  0.333  0.667
Cl  0.250  0.305  0.392
Cl  0.750  0.392  0.087
Cl  0.750  0.695  0.608
Cl  0.250  0.608  0.913
Cl  0.250  0.087  0.695
Cl  0.750  0.913  0.305

---

## Ac2Cl2O (GGA-PBE)

Data for a relaxed structure of Ac2Cl2O.

Calculated values
SG: P4/mmm

a = 4.573 Å, b = 4.573 Å, c = 13.562 Å
α = 90.00°, β = 90.00°, γ = 90.00°
Atoms (fractional coordinates):
Ac  0.500  0.500  0.165
Ac  0.500  0.500  0.835
Cl  0.500  0.500  0.639
Cl  0.500  0.500  0.361
O  0.500  0.500  0.000

---

no.,DFT formation energy (eV/atom)
1,0.031
2,-2.941
3,-1.623